(1)
Material: Li7Mn2Co3O12
Method: DFT, PBE+U
State: optimized geometry

* symmetry: Cm
* energy of formation from the pure elements: -176 kJ per mole of atoms
* offset from the most stable computed form: 0.1076 eV/atom

Lattice parameters (Å, degrees): 14.6385 14.6385 4.9950 82.59 82.59 11.81
Element x y z (fractional)
O  0.9604  0.9604  0.7162
O  0.4620  0.4620  0.2128
O  0.5381  0.5381  0.7843
O  0.6290  0.6290  0.3795
O  0.1284  0.1284  0.8801
O  0.7968  0.7968  0.5194
O  0.7062  0.7062  0.9520
O  0.2055  0.2055  0.4559
O  0.0386  0.0386  0.2856
O  0.3703  0.3703  0.5930
O  0.2957  0.2957  0.0755
O  0.8694  0.8694  0.1469
Mn  0.9992  0.9992  0.0015
Mn  0.4996  0.4996  0.5008
Li  0.0855  0.0855  0.5790
Li  0.2541  0.2541  0.7529
Li  0.4088  0.4088  0.9193
Li  0.9108  0.9108  0.4271
Li  0.8328  0.8328  0.8337
Li  0.5859  0.5859  0.0769
Li  0.7542  0.7542  0.2421
Co  0.1680  0.1680  0.1658
Co  0.6679  0.6679  0.6654
Co  0.3328  0.3328  0.3345

***

(2)
Material: Li4MnCo3O8
Method: DFT, PBE+U
State: optimized geometry

* symmetry: C2/m
* energy of formation from the pure elements: -170 kJ per mole of atoms
* offset from the most stable computed form: 0.0352 eV/atom

Lattice parameters (Å, degrees): 6.6768 6.6768 9.9239 51.71 51.71 25.24
Element x y z (fractional)
O  0.3226  0.3226  0.0677
O  0.8144  0.8144  0.5682
O  0.9447  0.9447  0.1647
O  0.0553  0.0553  0.8353
O  0.6774  0.6774  0.9323
O  0.4400  0.4400  0.6798
O  0.1856  0.1856  0.4318
O  0.5600  0.5600  0.3202
Li  0.6268  0.6268  0.6164
Li  0.1239  0.1239  0.1295
Li  0.8761  0.8761  0.8705
Li  0.3732  0.3732  0.3836
Co  0.2562  0.2562  0.7444
Co  0.7438  0.7438  0.2556
Co  0.0000  0.0000  0.5000
Mn  0.5000  0.5000  0.0000

***

(3)
Material: Li7Mn2Co3O12
Method: DFT, PBE+U
State: optimized geometry

* symmetry: C2/m
* energy of formation from the pure elements: -162 kJ per mole of atoms
* offset from the most stable computed form: 0.2589 eV/atom

Lattice parameters (Å, degrees): 14.7029 14.7029 5.1479 80.39 80.39 11.32
Element x y z (fractional)
Li  0.7493  0.7493  0.7594
Li  0.9230  0.9230  0.9177
Li  0.5000  0.5000  0.0000
Li  0.2507  0.2507  0.2406
Li  0.0770  0.0770  0.0823
Li  0.4210  0.4210  0.4222
Li  0.5790  0.5790  0.5778
Co  0.0000  0.0000  0.5000
Co  0.6656  0.6656  0.1641
Co  0.3344  0.3344  0.8359
O  0.0368  0.0368  0.7531
O  0.2042  0.2042  0.9436
O  0.7958  0.7958  0.0564
O  0.2962  0.2962  0.5122
O  0.6280  0.6280  0.8435
O  0.4634  0.4634  0.6856
O  0.9632  0.9632  0.2469
O  0.3720  0.3720  0.1565
O  0.1296  0.1296  0.3826
O  0.8704  0.8704  0.6174
O  0.7038  0.7038  0.4878
O  0.5366  0.5366  0.3144
Mn  0.1656  0.1656  0.6647
Mn  0.8344  0.8344  0.3353